1.
A geometry-optimized Ca2TlZn structure. Source: the Materials Project, functional meta-GGA r2SCAN.

Unit cell a=5.314 b=5.314 c=5.314 alpha=60.00 beta=60.00 gamma=60.00
Positions (direct):
Ca: 0.250 0.250 0.250
Ca: 0.750 0.750 0.750
Tl: 0.000 0.000 0.000
Zn: 0.500 0.500 0.500

## Properties
Total magnetization = 0.0 Bohr magnetons per cell
Calculated formation energy = -147 kJ/mol of formula units


2.
A geometry-optimized CaTmZn2 structure. Source: the Materials Project, functional meta-GGA r2SCAN.

Unit cell a=5.027 b=5.027 c=5.027 alpha=60.00 beta=60.00 gamma=60.00
Positions (direct):
Ca: 0.000 0.000 0.000
Tm: 0.500 0.500 0.500
Zn: 0.250 0.250 0.250
Zn: 0.750 0.750 0.750

## Properties
Total magnetization = 0.0 Bohr magnetons per cell
Calculated formation energy = -113 kJ/mol of formula units